[1]
Entry from the Materials Project database: a relaxed structure of Na6CoS4O16 (PBE+U).

Cell: 8.4176 9.3132 9.9327 Å, 90.00 114.01 90.00°
Last column: nearest neighbours and their distance in Å.
Positions (direct):
Na 0.9107 0.8486 0.5534  5 O 2.37-2.48
Na 0.0893 0.1514 0.4466  5 O 2.37-2.48
Na 0.5893 0.3486 0.4466  5 O 2.37-2.48
Na 0.4107 0.6514 0.5534  5 O 2.37-2.48
Na 0.5329 0.9847 0.6895  6 O 2.39-2.57
Na 0.4671 0.0153 0.3105  6 O 2.39-2.57
Na 0.9671 0.4847 0.3105  6 O 2.39-2.57
Na 0.0329 0.5153 0.6895  6 O 2.39-2.57
Na 0.8160 0.3628 0.8900  4 O 2.34-2.55
Na 0.1840 0.6372 0.1100  4 O 2.34-2.55
Na 0.6840 0.8628 0.1100  4 O 2.34-2.55
Na 0.3160 0.1372 0.8900  4 O 2.34-2.55
Co 0.0000 0.0000 0.0000  6 O 2.09-2.16
Co 0.5000 0.5000 0.0000  6 O 2.09-2.16
S 0.7755 0.6948 0.8600  4 O 1.48-1.51
S 0.2245 0.3052 0.1400  4 O 1.48-1.51
S 0.7245 0.1948 0.1400  4 O 1.48-1.51
S 0.2755 0.8052 0.8600  4 O 1.48-1.51
S 0.6527 0.6472 0.3375  4 O 1.48-1.52
S 0.3473 0.3528 0.6625  4 O 1.48-1.52
S 0.8473 0.1472 0.6625  4 O 1.48-1.52
S 0.1527 0.8528 0.3375  4 O 1.48-1.52
O 0.8445 0.8159 0.9701  1 S 1.51
O 0.1555 0.1841 0.0299  1 S 1.51
O 0.6555 0.3159 0.0299  1 S 1.51
O 0.3445 0.6841 0.9701  1 S 1.51
O 0.9230 0.6039 0.8641  1 S 1.49
O 0.0770 0.3961 0.1359  1 S 1.49
O 0.5770 0.1039 0.1359  1 S 1.49
O 0.4230 0.8961 0.8641  1 S 1.49
O 0.0001 0.9156 0.3539  1 S 1.48
O 0.9999 0.0844 0.6461  1 S 1.48
O 0.4999 0.4156 0.6461  1 S 1.48
O 0.5001 0.5844 0.3539  1 S 1.48
O 0.6789 0.7558 0.7106  1 S 1.48
O 0.3211 0.2442 0.2894  1 S 1.48
O 0.8211 0.2558 0.2894  1 S 1.48
O 0.1789 0.7442 0.7106  1 S 1.48
O 0.6596 0.6062 0.9059  1 S 1.48
O 0.3404 0.3938 0.0941  1 S 1.48
O 0.8404 0.1062 0.0941  1 S 1.48
O 0.1596 0.8938 0.9059  1 S 1.48
O 0.8174 0.6028 0.4620  1 S 1.49
O 0.1826 0.3972 0.5380  1 S 1.49
O 0.6826 0.1028 0.5380  1 S 1.49
O 0.3174 0.8972 0.4620  1 S 1.49
O 0.3341 0.4066 0.8016  1 S 1.52
O 0.6659 0.5934 0.1984  1 S 1.52
O 0.1659 0.9066 0.1984  1 S 1.52
O 0.8341 0.0934 0.8016  1 S 1.52
O 0.8593 0.3066 0.6701  1 S 1.49
O 0.1407 0.6934 0.3299  1 S 1.49
O 0.6407 0.8066 0.3299  1 S 1.49
O 0.3593 0.1934 0.6701  1 S 1.49

=====

[2]
Entry from the Materials Project database: a relaxed structure of Na2CoS2O12 (PBE+U).

Cell: 5.5484 7.8631 11.3689 Å, 90.00 102.75 90.00°
Last column: nearest neighbours and their distance in Å.
Positions (direct):
Na 0.1019 0.0604 0.3560  6 O 2.35-2.57
Na 0.8981 0.9396 0.6440  6 O 2.35-2.57
Na 0.8981 0.5604 0.1440  6 O 2.35-2.57
Na 0.1019 0.4396 0.8560  6 O 2.35-2.57
Co 0.0000 0.0000 0.0000  4 O 1.76
Co 0.0000 0.5000 0.5000  4 O 1.76
S 0.3717 0.2741 0.1344  4 O 1.46-1.54
S 0.6283 0.7259 0.8656  4 O 1.46-1.54
S 0.6283 0.7741 0.3656  4 O 1.46-1.54
S 0.3717 0.2259 0.6344  4 O 1.46-1.54
O 0.3221 0.2441 0.2549  1 S 1.47
O 0.6779 0.7559 0.7451  1 S 1.47
O 0.6779 0.7441 0.2451  1 S 1.47
O 0.3221 0.2559 0.7549  1 S 1.47
O 0.1235 0.8148 0.0764  1 Co 1.76
O 0.8765 0.1852 0.9236  1 Co 1.76
O 0.8765 0.3148 0.4236  1 Co 1.76
O 0.1235 0.6852 0.5764  1 Co 1.76
O 0.2033 0.4068 0.0708  1 S 1.48
O 0.7967 0.5932 0.9292  1 S 1.48
O 0.7967 0.9068 0.4292  1 S 1.48
O 0.2033 0.0932 0.5708  1 S 1.48
O 0.6303 0.3190 0.1403  1 S 1.46
O 0.3697 0.6810 0.8597  1 S 1.46
O 0.3697 0.8190 0.3597  1 S 1.46
O 0.6303 0.1810 0.6403  1 S 1.46
O 0.3306 0.1087 0.0603  1 S 1.54
O 0.6694 0.8913 0.9397  1 S 1.54
O 0.6694 0.6087 0.4397  1 S 1.54
O 0.3306 0.3913 0.5603  1 S 1.54
O 0.0783 0.5182 0.3591  1 Co 1.76
O 0.9217 0.4818 0.6409  1 Co 1.76
O 0.9217 0.0182 0.1409  1 Co 1.76
O 0.0783 0.9818 0.8591  1 Co 1.76

=====

[3]
Entry from the Materials Project database: a relaxed structure of Na5CoSO2 (PBE+U).

Cell: 6.5197 6.5197 8.1303 Å, 90.00 90.00 90.00°
Last column: nearest neighbours and their distance in Å.
Positions (direct):
Na 0.0000 0.0000 0.5000  2 O 2.29
Na 0.5000 0.5000 0.5000  2 O 2.29
Na 0.2500 0.2500 0.2540  2 O 2.32
Na 0.7500 0.7500 0.2540  2 O 2.32
Na 0.2500 0.7500 0.2540  2 O 2.32
Na 0.7500 0.2500 0.2540  2 O 2.32
Na 0.2500 0.2500 0.7460  2 O 2.32
Na 0.7500 0.7500 0.7460  2 O 2.32
Na 0.2500 0.7500 0.7460  2 O 2.32
Na 0.7500 0.2500 0.7460  2 O 2.32
Co 0.5000 0.5000 0.0000  2 O 1.77
Co 0.0000 0.0000 0.0000  2 O 1.77
S 0.5000 0.0000 0.5000  12 Na 3.05-3.26
S 0.0000 0.5000 0.5000  12 Na 3.05-3.26
O 0.0000 0.0000 0.7819  1 Co 1.77
O 0.5000 0.5000 0.7819  1 Co 1.77
O 0.0000 0.0000 0.2181  1 Co 1.77
O 0.5000 0.5000 0.2181  1 Co 1.77

=====

Values for E_form, kJ/mol of formula units, ordered as above
-5508, -2091, -1116